Entry 1:
Entry from the Materials Project database: an optimized crystal structure of KPO3 (GGA-PBE).

## Properties
The value obtained for the magnetic moment is 0.00 μB/f.u.

abc: 8.685 8.685 4.192
angles: 102.99 102.99 41.11
Fractional coordinates of all 10 atoms:
K 0.129 0.129 0.313
K 0.871 0.871 0.687
P 0.372 0.372 0.286
P 0.628 0.628 0.714
O 0.193 0.621 0.204
O 0.304 0.304 0.468
O 0.379 0.807 0.796
O 0.621 0.193 0.204
O 0.696 0.696 0.532
O 0.807 0.379 0.796



Entry 2:
Entry from the Materials Project database: an optimized crystal structure of K3PO5 (GGA-PBE).

## Properties
The value obtained for the magnetic moment is 2.00 μB/f.u.

abc: 7.730 7.730 7.730
angles: 122.75 122.75 85.30
Fractional coordinates of all 18 atoms:
K 0.194 0.694 0.888
K 0.250 0.250 0.000
K 0.306 0.194 0.500
K 0.694 0.806 0.500
K 0.750 0.750 0.000
K 0.806 0.306 0.112
P 0.250 0.750 0.500
P 0.750 0.250 0.500
O 0.000 0.000 0.000
O 0.049 0.787 0.500
O 0.213 0.713 0.262
O 0.287 0.549 0.500
O 0.451 0.951 0.738
O 0.500 0.500 0.000
O 0.549 0.049 0.262
O 0.713 0.451 0.500
O 0.787 0.287 0.738
O 0.951 0.213 0.500



Entry 3:
Entry from the Materials Project database: an optimized crystal structure of KPO3 (GGA-PBE).

abc: 11.610 4.593 14.233
angles: 90.00 115.77 90.00
Fractional coordinates of all 40 atoms:
K 0.069 0.217 0.369
K 0.069 0.283 0.869
K 0.404 0.737 0.073
K 0.404 0.763 0.573
K 0.596 0.237 0.427
K 0.596 0.263 0.927
K 0.931 0.717 0.131
K 0.931 0.783 0.631
P 0.215 0.193 0.163
P 0.215 0.307 0.663
P 0.304 0.691 0.309
P 0.304 0.809 0.809
P 0.696 0.191 0.191
P 0.696 0.309 0.691
P 0.785 0.693 0.337
P 0.785 0.807 0.837
O 0.081 0.218 0.151
O 0.081 0.282 0.651
O 0.194 0.717 0.338
O 0.194 0.783 0.838
O 0.247 0.238 0.574
O 0.247 0.262 0.074
O 0.272 0.635 0.700
O 0.272 0.865 0.200
O 0.313 0.135 0.768
O 0.313 0.365 0.268
O 0.437 0.739 0.889
O 0.437 0.761 0.389
O 0.563 0.239 0.611
O 0.563 0.261 0.111
O 0.687 0.635 0.732
O 0.687 0.865 0.232
O 0.728 0.135 0.800
O 0.728 0.365 0.300
O 0.753 0.738 0.926
O 0.753 0.762 0.426
O 0.806 0.217 0.162
O 0.806 0.283 0.662
O 0.919 0.718 0.349
O 0.919 0.782 0.849



Entry 4:
Entry from the Materials Project database: an optimized crystal structure of KPO3 (GGA-PBE).

abc: 4.505 5.937 12.807
angles: 90.00 90.00 90.00
Fractional coordinates of all 20 atoms:
K 0.231 0.250 0.089
K 0.269 0.750 0.589
K 0.731 0.250 0.411
K 0.769 0.750 0.911
P 0.186 0.750 0.327
P 0.314 0.250 0.827
P 0.686 0.750 0.173
P 0.814 0.250 0.673
O 0.160 0.250 0.712
O 0.242 0.532 0.383
O 0.242 0.968 0.383
O 0.258 0.032 0.883
O 0.258 0.468 0.883
O 0.340 0.750 0.212
O 0.660 0.250 0.788
O 0.742 0.532 0.117
O 0.742 0.968 0.117
O 0.758 0.032 0.617
O 0.758 0.468 0.617
O 0.840 0.750 0.288



Entry 5:
Entry from the Materials Project database: an optimized crystal structure of K8PO3 (GGA-PBE).

## Properties
The value obtained for the magnetic moment is 1.00 μB/f.u.

abc: 6.855 6.855 6.855
angles: 90.00 90.00 90.00
Fractional coordinates of all 12 atoms:
K 0.237 0.237 0.237
K 0.237 0.237 0.763
K 0.237 0.763 0.237
K 0.237 0.763 0.763
K 0.763 0.237 0.237
K 0.763 0.237 0.763
K 0.763 0.763 0.237
K 0.763 0.763 0.763
P 0.500 0.500 0.500
O 0.000 0.000 0.500
O 0.000 0.500 0.000
O 0.500 0.000 0.000



Entry 6:
Entry from the Materials Project database: an optimized crystal structure of K3PO4 (GGA-PBE).

abc: 11.371 8.216 6.013
angles: 90.00 90.00 90.00
Fractional coordinates of all 32 atoms:
K 0.070 0.250 0.139
K 0.144 0.009 0.695
K 0.144 0.491 0.695
K 0.356 0.509 0.195
K 0.356 0.991 0.195
K 0.430 0.750 0.639
K 0.570 0.250 0.361
K 0.644 0.009 0.805
K 0.644 0.491 0.805
K 0.856 0.509 0.305
K 0.856 0.991 0.305
K 0.930 0.750 0.861
P 0.116 0.750 0.282
P 0.384 0.250 0.782
P 0.616 0.750 0.218
P 0.884 0.250 0.718
O 0.009 0.750 0.448
O 0.111 0.594 0.134
O 0.111 0.906 0.134
O 0.232 0.750 0.422
O 0.268 0.250 0.922
O 0.389 0.094 0.634
O 0.389 0.406 0.634
O 0.491 0.250 0.948
O 0.509 0.750 0.052
O 0.611 0.594 0.366
O 0.611 0.906 0.366
O 0.732 0.750 0.078
O 0.768 0.250 0.578
O 0.889 0.094 0.866
O 0.889 0.406 0.866
O 0.991 0.250 0.552



Entry 7:
Entry from the Materials Project database: an optimized crystal structure of KP2O8 (GGA-PBE).

## Properties
The value obtained for the magnetic moment is 5.00 μB/f.u.

abc: 8.174 11.465 9.948
angles: 90.00 115.19 90.00
Fractional coordinates of all 44 atoms:
K 0.213 0.123 0.143
K 0.213 0.377 0.643
K 0.787 0.623 0.357
K 0.787 0.877 0.857
P 0.109 0.069 0.734
P 0.109 0.431 0.234
P 0.353 0.722 0.705
P 0.353 0.778 0.205
P 0.647 0.222 0.795
P 0.647 0.278 0.295
P 0.891 0.569 0.766
P 0.891 0.931 0.266
O 0.070 0.501 0.831
O 0.070 0.999 0.331
O 0.093 0.198 0.770
O 0.093 0.302 0.270
O 0.151 0.710 0.602
O 0.151 0.790 0.102
O 0.205 0.084 0.632
O 0.205 0.416 0.132
O 0.211 0.502 0.378
O 0.211 0.998 0.878
O 0.405 0.592 0.740
O 0.405 0.908 0.240
O 0.406 0.704 0.347
O 0.406 0.796 0.847
O 0.462 0.709 0.138
O 0.462 0.791 0.638
O 0.538 0.209 0.362
O 0.538 0.291 0.862
O 0.594 0.204 0.153
O 0.594 0.296 0.653
O 0.595 0.092 0.760
O 0.595 0.408 0.260
O 0.789 0.002 0.122
O 0.789 0.498 0.622
O 0.795 0.584 0.868
O 0.795 0.916 0.368
O 0.849 0.210 0.898
O 0.849 0.290 0.398
O 0.907 0.698 0.730
O 0.907 0.802 0.230
O 0.930 0.001 0.669
O 0.930 0.499 0.169



Entry 8:
Entry from the Materials Project database: an optimized crystal structure of K15P16Pd9O56 (GGA-PBE).

## Properties
The value obtained for the magnetic moment is 1.00 μB/f.u.

abc: 12.001 12.001 12.426
angles: 113.61 113.61 72.36
Fractional coordinates of all 96 atoms:
K 0.000 0.000 0.000
K 0.116 0.646 0.401
K 0.122 0.585 0.083
K 0.159 0.159 0.907
K 0.253 0.253 0.500
K 0.259 0.741 0.000
K 0.354 0.884 0.599
K 0.415 0.878 0.917
K 0.585 0.122 0.083
K 0.646 0.116 0.401
K 0.741 0.259 0.000
K 0.747 0.747 0.500
K 0.841 0.841 0.093
K 0.878 0.415 0.917
K 0.884 0.354 0.599
P 0.076 0.861 0.696
P 0.109 0.321 0.198
P 0.139 0.924 0.304
P 0.181 0.396 0.812
P 0.321 0.109 0.198
P 0.371 0.576 0.693
P 0.396 0.181 0.812
P 0.424 0.629 0.307
P 0.576 0.371 0.693
P 0.604 0.819 0.188
P 0.629 0.424 0.307
P 0.679 0.891 0.802
P 0.819 0.604 0.188
P 0.861 0.076 0.696
P 0.891 0.679 0.802
P 0.924 0.139 0.304
Pd 0.000 0.000 0.500
Pd 0.084 0.587 0.656
Pd 0.374 0.374 0.257
Pd 0.413 0.916 0.344
Pd 0.434 0.434 0.047
Pd 0.566 0.566 0.953
Pd 0.587 0.084 0.656
Pd 0.626 0.626 0.743
Pd 0.916 0.413 0.344
O 0.005 0.272 0.084
O 0.010 0.748 0.609
O 0.029 0.029 0.253
O 0.068 0.393 0.837
O 0.077 0.405 0.318
O 0.091 0.882 0.378
O 0.118 0.909 0.622
O 0.153 0.823 0.188
O 0.154 0.419 0.689
O 0.177 0.847 0.812
O 0.184 0.386 0.171
O 0.204 0.204 0.241
O 0.235 0.583 0.614
O 0.252 0.990 0.391
O 0.253 0.253 0.787
O 0.267 0.480 0.924
O 0.272 0.005 0.084
O 0.348 0.567 0.335
O 0.386 0.184 0.171
O 0.391 0.607 0.168
O 0.393 0.068 0.837
O 0.393 0.609 0.832
O 0.405 0.077 0.318
O 0.417 0.765 0.386
O 0.419 0.154 0.689
O 0.431 0.431 0.642
O 0.433 0.652 0.665
O 0.480 0.267 0.924
O 0.520 0.733 0.076
O 0.567 0.348 0.335
O 0.569 0.569 0.358
O 0.581 0.846 0.311
O 0.583 0.235 0.614
O 0.595 0.923 0.682
O 0.607 0.391 0.168
O 0.607 0.932 0.163
O 0.609 0.393 0.832
O 0.614 0.816 0.829
O 0.652 0.433 0.665
O 0.728 0.995 0.916
O 0.733 0.520 0.076
O 0.747 0.747 0.213
O 0.748 0.010 0.609
O 0.765 0.417 0.386
O 0.796 0.796 0.759
O 0.816 0.614 0.829
O 0.823 0.153 0.188
O 0.846 0.581 0.311
O 0.847 0.177 0.812
O 0.882 0.091 0.378
O 0.909 0.118 0.622
O 0.923 0.595 0.682
O 0.932 0.607 0.163
O 0.971 0.971 0.747
O 0.990 0.252 0.391
O 0.995 0.728 0.916



Entry 9:
Entry from the Materials Project database: an optimized crystal structure of K14P16Pd9O56 (GGA-PBE).

## Properties
The value obtained for the magnetic moment is 0.00 μB/f.u.

abc: 11.952 11.952 12.422
angles: 113.57 113.57 72.54
Fractional coordinates of all 95 atoms:
K 0.000 0.000 0.000
K 0.037 0.572 0.823
K 0.044 0.509 0.504
K 0.158 0.158 0.907
K 0.274 0.803 0.307
K 0.279 0.742 0.989
K 0.316 0.316 0.813
K 0.417 0.899 0.906
K 0.509 0.044 0.504
K 0.572 0.037 0.823
K 0.742 0.279 0.989
K 0.803 0.274 0.307
K 0.899 0.417 0.906
K 0.905 0.905 0.405
P 0.018 0.233 0.602
P 0.049 0.837 0.707
P 0.082 0.298 0.210
P 0.233 0.018 0.602
P 0.267 0.477 0.106
P 0.298 0.082 0.210
P 0.338 0.553 0.717
P 0.477 0.267 0.106
P 0.529 0.732 0.599
P 0.553 0.338 0.717
P 0.582 0.786 0.213
P 0.732 0.529 0.599
P 0.762 0.977 0.094
P 0.786 0.582 0.213
P 0.837 0.049 0.707
P 0.977 0.762 0.094
Pd 0.074 0.570 0.249
Pd 0.157 0.157 0.405
Pd 0.242 0.744 0.562
Pd 0.531 0.531 0.163
Pd 0.570 0.074 0.249
Pd 0.591 0.591 0.953
Pd 0.723 0.723 0.858
Pd 0.744 0.242 0.562
Pd 0.784 0.784 0.649
O 0.003 0.737 0.216
O 0.004 0.335 0.718
O 0.039 0.248 0.283
O 0.067 0.276 0.528
O 0.081 0.752 0.587
O 0.090 0.764 0.068
O 0.128 0.128 0.653
O 0.145 0.412 0.297
O 0.152 0.885 0.822
O 0.163 0.430 0.990
O 0.167 0.905 0.515
O 0.187 0.187 0.159
O 0.226 0.551 0.744
O 0.232 0.565 0.223
O 0.248 0.039 0.283
O 0.276 0.067 0.528
O 0.310 0.979 0.093
O 0.311 0.579 0.596
O 0.335 0.004 0.718
O 0.344 0.543 0.080
O 0.360 0.360 0.146
O 0.393 0.743 0.521
O 0.410 0.410 0.693
O 0.412 0.145 0.297
O 0.426 0.638 0.831
O 0.430 0.163 0.990
O 0.505 0.722 0.240
O 0.543 0.344 0.080
O 0.549 0.764 0.073
O 0.551 0.226 0.744
O 0.552 0.766 0.739
O 0.565 0.232 0.223
O 0.575 0.922 0.292
O 0.579 0.311 0.596
O 0.588 0.588 0.548
O 0.593 0.810 0.572
O 0.638 0.426 0.831
O 0.677 0.889 0.982
O 0.722 0.505 0.240
O 0.727 0.727 0.264
O 0.737 0.003 0.216
O 0.743 0.393 0.521
O 0.752 0.081 0.587
O 0.764 0.090 0.068
O 0.764 0.549 0.073
O 0.766 0.552 0.739
O 0.772 0.971 0.733
O 0.810 0.593 0.572
O 0.885 0.152 0.822
O 0.889 0.677 0.982
O 0.905 0.167 0.515
O 0.905 0.905 0.120
O 0.922 0.575 0.292
O 0.954 0.954 0.664
O 0.971 0.772 0.733
O 0.979 0.310 0.093



no.,formation energy from the elements (meV/atom)
1,-2444
2,-2097
3,-2689
4,-2678
5,-875
6,-2540
7,-1716
8,-2320
9,-2312